Entry 1:
Entry from Materials Project: crystalline Ni4P7O24 at its relaxed geometry (GGA+U).

a = 10.348 Å, b = 10.404 Å, c = 10.753 Å
α = 111.32°, β = 108.47°, γ = 104.50°
Sites, in units of the cell vectors:
Ni  0.895  0.504  0.741
Ni  0.382  0.000  0.076
Ni  0.664  0.508  0.881
Ni  0.832  0.983  0.418
Ni  0.168  0.017  0.582
Ni  0.336  0.492  0.119
Ni  0.618  0.000  0.924
Ni  0.105  0.496  0.259
P  0.458  0.244  0.950
P  0.542  0.756  0.050
P  0.178  0.728  0.116
P  0.388  0.254  0.521
P  0.822  0.272  0.884
P  0.035  0.260  0.754
P  0.947  0.201  0.263
P  0.619  0.192  0.435
P  0.223  0.234  0.225
P  0.381  0.808  0.565
P  0.053  0.799  0.737
P  0.965  0.740  0.246
P  0.612  0.746  0.479
P  0.777  0.766  0.775
O  0.263  0.122  0.130
O  0.204  0.866  0.873
O  0.987  0.627  0.662
O  0.069  0.643  0.951
O  0.720  0.357  0.538
O  0.562  0.647  0.923
O  0.566  0.147  0.269
O  0.781  0.635  0.805
O  0.796  0.134  0.127
O  0.013  0.373  0.338
O  0.931  0.357  0.049
O  0.737  0.878  0.870
O  0.280  0.643  0.462
O  0.438  0.353  0.077
O  0.434  0.853  0.731
O  0.219  0.365  0.195
O  0.529  0.848  0.539
O  0.990  0.624  0.298
O  0.663  0.688  0.599
O  0.938  0.856  0.793
O  0.506  0.609  0.331
O  0.077  0.864  0.638
O  0.494  0.123  0.989
O  0.312  0.916  0.541
O  0.819  0.653  0.103
O  0.684  0.141  0.843
O  0.099  0.807  0.211
O  0.752  0.847  0.490
O  0.977  0.879  0.372
O  0.212  0.616  0.171
O  0.410  0.642  0.047
O  0.322  0.156  0.797
O  0.678  0.844  0.203
O  0.590  0.358  0.953
O  0.788  0.384  0.829
O  0.023  0.121  0.628
O  0.248  0.153  0.510
O  0.901  0.193  0.789
O  0.316  0.859  0.157
O  0.181  0.347  0.897
O  0.688  0.084  0.459
O  0.506  0.877  0.011
O  0.923  0.136  0.362
O  0.494  0.391  0.669
O  0.062  0.144  0.207
O  0.471  0.152  0.461
O  0.010  0.376  0.702
O  0.337  0.312  0.401

## Properties
energy with MP2020 corrections = -7.229 eV per atom
DFT formation energy = -2.0930 eV/atom
space-group type = No. 2
volume = 13.3 A^3/atom

---

Entry 2:
Entry from Materials Project: crystalline NiF2 at its relaxed geometry (GGA+U).

a = 3.121 Å, b = 4.701 Å, c = 4.701 Å
α = 90.00°, β = 90.00°, γ = 90.00°
Sites, in units of the cell vectors:
Ni  0.500  0.500  0.500
Ni  0.000  0.000  0.000
F  0.000  0.696  0.696
F  0.500  0.196  0.804
F  0.000  0.304  0.304
F  0.500  0.804  0.196

## Properties
energy with MP2020 corrections = -5.520 eV per atom
DFT formation energy = -2.3173 eV/atom
space-group type = No. 136
volume = 11.5 A^3/atom

---

Entry 3:
Entry from Materials Project: crystalline Fe6O11F at its relaxed geometry (GGA+U).

a = 4.634 Å, b = 5.508 Å, c = 7.555 Å
α = 84.91°, β = 89.08°, γ = 88.78°
Sites, in units of the cell vectors:
Fe  0.518  0.843  0.673
Fe  0.498  0.498  0.998
Fe  0.499  0.168  0.334
Fe  0.994  0.324  0.669
Fe  0.986  0.666  0.324
Fe  0.004  0.000  0.001
O  0.812  0.378  0.437
O  0.815  0.030  0.779
O  0.804  0.711  0.094
O  0.692  0.208  0.104
O  0.689  0.534  0.767
O  0.692  0.874  0.437
O  0.311  0.130  0.565
O  0.306  0.463  0.231
O  0.308  0.789  0.896
O  0.185  0.960  0.226
O  0.192  0.287  0.900
F  0.197  0.636  0.565

## Properties
energy with MP2020 corrections = -7.349 eV per atom
distance to the lowest polymorph of the same formula = 0.003 eV per atom
DFT formation energy = -1.3954 eV/atom
space-group type = No. 1
volume = 10.7 A^3/atom

---

Entry 4:
Entry from Materials Project: crystalline KNa3Mo2O17 at its relaxed geometry (GGA+U).

a = 8.672 Å, b = 8.672 Å, c = 10.787 Å
α = 90.00°, β = 90.00°, γ = 120.00°
Sites, in units of the cell vectors:
K  0.000  0.000  0.750
K  0.000  0.000  0.250
Na  0.602  0.077  0.750
Na  0.398  0.923  0.250
Na  0.475  0.398  0.750
Na  0.525  0.602  0.250
Na  0.923  0.525  0.750
Na  0.077  0.475  0.250
Mo  0.667  0.333  0.450
Mo  0.333  0.667  0.550
Mo  0.333  0.667  0.950
Mo  0.667  0.333  0.050
O  0.948  0.273  0.750
O  0.052  0.727  0.250
O  0.325  0.052  0.750
O  0.675  0.948  0.250
O  0.727  0.675  0.750
O  0.273  0.325  0.250
O  0.808  0.045  0.956
O  0.192  0.955  0.044
O  0.236  0.192  0.956
O  0.192  0.955  0.456
O  0.764  0.808  0.044
O  0.808  0.045  0.544
O  0.955  0.764  0.956
O  0.764  0.808  0.456
O  0.045  0.236  0.044
O  0.236  0.192  0.544
O  0.045  0.236  0.456
O  0.955  0.764  0.544
O  0.523  0.653  0.893
O  0.477  0.347  0.107
O  0.130  0.477  0.893
O  0.477  0.347  0.393
O  0.870  0.523  0.107
O  0.523  0.653  0.607
O  0.347  0.870  0.893
O  0.870  0.523  0.393
O  0.653  0.130  0.107
O  0.130  0.477  0.607
O  0.653  0.130  0.393
O  0.347  0.870  0.607
O  0.667  0.333  0.885
O  0.333  0.667  0.115
O  0.333  0.667  0.385
O  0.667  0.333  0.615

## Properties
energy with MP2020 corrections = -5.433 eV per atom
DFT formation energy = -0.6118 eV/atom
space-group type = No. 176
volume = 15.3 A^3/atom

---

Entry 5:
Entry from Materials Project: crystalline LiMo2P3O13 at its relaxed geometry (GGA+U).

a = 6.471 Å, b = 19.364 Å, c = 9.746 Å
α = 90.00°, β = 105.68°, γ = 90.00°
Sites, in units of the cell vectors:
Li  0.040  0.908  0.644
Li  0.218  0.103  0.053
Li  0.782  0.603  0.947
Li  0.960  0.408  0.356
Mo  0.052  0.786  0.393
Mo  0.374  0.821  0.945
Mo  0.116  0.496  0.080
Mo  0.434  0.538  0.623
Mo  0.566  0.038  0.377
Mo  0.884  0.996  0.920
Mo  0.626  0.321  0.055
Mo  0.948  0.286  0.607
P  0.911  0.836  0.037
P  0.976  0.572  0.714
P  0.758  0.195  0.294
P  0.753  0.128  0.692
P  0.425  0.987  0.026
P  0.511  0.752  0.301
P  0.489  0.252  0.699
P  0.575  0.487  0.974
P  0.089  0.336  0.963
P  0.024  0.072  0.286
P  0.247  0.628  0.308
P  0.242  0.695  0.706
O  0.144  0.450  0.235
O  0.930  0.306  0.038
O  0.940  0.915  0.057
O  0.944  0.803  0.184
O  0.973  0.153  0.290
O  0.795  0.514  0.068
O  0.839  0.253  0.399
O  0.957  0.369  0.543
O  0.004  0.556  0.873
O  0.070  0.806  0.962
O  0.060  0.415  0.943
O  0.056  0.303  0.816
O  0.027  0.653  0.710
O  0.205  0.014  0.932
O  0.122  0.532  0.643
O  0.043  0.869  0.457
O  0.161  0.753  0.601
O  0.284  0.870  0.791
O  0.092  0.679  0.346
O  0.342  0.724  0.856
O  0.256  0.257  0.611
O  0.147  0.596  0.159
O  0.257  0.065  0.374
O  0.996  0.056  0.127
O  0.397  0.645  0.665
O  0.526  0.273  0.855
O  0.585  0.004  0.938
O  0.327  0.570  0.414
O  0.573  0.411  0.930
O  0.533  0.536  0.843
O  0.442  0.452  0.587
O  0.364  0.789  0.377
O  0.542  0.170  0.702
O  0.686  0.817  0.943
O  0.314  0.317  0.057
O  0.458  0.670  0.298
O  0.636  0.289  0.623
O  0.558  0.952  0.413
O  0.467  0.036  0.157
O  0.427  0.911  0.070
O  0.673  0.070  0.586
O  0.415  0.504  0.062
O  0.474  0.773  0.145
O  0.603  0.145  0.335
O  0.856  0.950  0.765
O  0.743  0.565  0.626
O  0.853  0.096  0.841
O  0.744  0.757  0.389
O  0.658  0.224  0.144
O  0.908  0.179  0.654
O  0.716  0.370  0.209
O  0.878  0.032  0.357

## Properties
energy with MP2020 corrections = -7.912 eV per atom
distance to the lowest polymorph of the same formula = 0.009 eV per atom
DFT formation energy = -2.4298 eV/atom
space-group type = No. 4
volume = 15.5 A^3/atom

---

Entry 6:
Entry from Materials Project: crystalline MnVBiO5 at its relaxed geometry (GGA+U).

a = 5.466 Å, b = 7.050 Å, c = 7.100 Å
α = 109.76°, β = 107.66°, γ = 96.84°
Sites, in units of the cell vectors:
Mn  0.327  0.368  0.228
Mn  0.673  0.632  0.772
V  0.658  0.181  0.886
V  0.342  0.819  0.114
Bi  0.103  0.756  0.535
Bi  0.897  0.244  0.465
O  0.225  0.660  0.230
O  0.775  0.340  0.770
O  0.434  0.085  0.289
O  0.566  0.915  0.711
O  0.618  0.756  0.072
O  0.382  0.244  0.928
O  0.736  0.503  0.450
O  0.264  0.497  0.550
O  0.910  0.217  0.130
O  0.090  0.783  0.870

## Properties
energy with MP2020 corrections = -8.005 eV per atom
DFT formation energy = -2.1458 eV/atom
space-group type = No. 2
volume = 14.9 A^3/atom

---

Calculated total energy, record by record: -6.4677 -4.3654 -6.1514 -4.6467 -7.1050 -7.1549 eV per atom